Record 1
# Y2MoO6, relaxed, DFT PBE with a Hubbard U
# Formation enthalpy at 0 K (meV/atom): -3163
data_Y2MoO6
_chemical_formula_sum 'Y16 Mo8 O48'
_space_group_name_H-M_alt 'C 1 2/c 1'
_space_group_IT_number 15
_space_group_name_Hall '-C 2yc'
_cell_length_a 16.565
_cell_length_b 11.173
_cell_length_c 5.421
_cell_angle_alpha 90.00
_cell_angle_beta 108.36
_cell_angle_gamma 90.00
loop_
_atom_site_label
_atom_site_fract_x
_atom_site_fract_y
_atom_site_fract_z
Y1 0.000 0.107 0.250
Y2 0.000 0.364 0.750
Y3 0.168 0.116 0.878
Mo1 0.154 0.359 0.441
O1 0.072 0.235 0.583
O2 0.079 0.469 0.486
O3 0.092 0.019 0.078
O4 0.106 0.279 0.132
O5 0.228 0.297 0.746
O6 0.236 0.447 0.365

Record 2
# HoMgV2O6, relaxed, DFT PBE with a Hubbard U
# Formation enthalpy at 0 K (meV/atom): -2986
data_HoMgV2O6
_chemical_formula_sum 'Ho2 Mg2 V4 O12'
_space_group_name_H-M_alt 'P 1'
_space_group_IT_number 1
_space_group_name_Hall 'P 1'
_cell_length_a 5.213
_cell_length_b 5.474
_cell_length_c 7.592
_cell_angle_alpha 89.80
_cell_angle_beta 89.91
_cell_angle_gamma 89.82
loop_
_atom_site_label
_atom_site_fract_x
_atom_site_fract_y
_atom_site_fract_z
Ho1 0.000 0.000 0.000
Ho2 0.498 0.364 0.499
Mg1 0.474 0.482 0.999
Mg2 0.968 0.876 0.497
V1 0.482 0.923 0.250
V2 0.483 0.923 0.749
V3 0.983 0.439 0.749
V4 0.984 0.437 0.249
O1 0.093 0.492 0.498
O2 0.182 0.732 0.183
O3 0.190 0.748 0.806
O4 0.300 0.244 0.811
O5 0.314 0.228 0.188
O6 0.350 0.974 0.497
O7 0.599 0.871 0.999
O8 0.666 0.643 0.310
O9 0.673 0.629 0.686
O10 0.782 0.111 0.689
O11 0.798 0.122 0.313
O12 0.858 0.391 0.000

Record 3
# Li2Ti3FeO8, relaxed, DFT PBE with a Hubbard U
# Formation enthalpy at 0 K (meV/atom): -3000
# E above lowest polymorph (eV/atom): 0.000
data_Li2Ti3FeO8
_chemical_formula_sum 'Li8 Ti12 Fe4 O32'
_space_group_name_H-M_alt 'P 1'
_space_group_IT_number 1
_space_group_name_Hall 'P 1'
_cell_length_a 8.514
_cell_length_b 8.515
_cell_length_c 8.517
_cell_angle_alpha 89.79
_cell_angle_beta 89.81
_cell_angle_gamma 89.94
loop_
_atom_site_label
_atom_site_fract_x
_atom_site_fract_y
_atom_site_fract_z
Li1 0.000 0.000 0.000
Li2 0.000 0.500 0.499
Li3 0.249 0.750 0.750
Li4 0.252 0.249 0.248
Li5 0.498 0.997 0.498
Li6 0.501 0.498 0.001
Li7 0.749 0.749 0.250
Li8 0.752 0.251 0.751
Ti1 0.125 0.882 0.371
Ti2 0.126 0.379 0.871
Ti3 0.127 0.120 0.631
Ti4 0.369 0.623 0.379
Ti5 0.377 0.868 0.121
Ti6 0.379 0.126 0.874
Ti7 0.623 0.126 0.126
Ti8 0.624 0.371 0.376
Ti9 0.629 0.624 0.619
Ti10 0.869 0.625 0.878
Ti11 0.872 0.877 0.624
Ti12 0.881 0.373 0.128
Fe1 0.124 0.625 0.125
Fe2 0.375 0.375 0.625
Fe3 0.625 0.874 0.875
Fe4 0.876 0.124 0.375
O1 0.103 0.370 0.107
O2 0.109 0.602 0.876
O3 0.113 0.888 0.613
O4 0.125 0.352 0.642
O5 0.126 0.108 0.398
O6 0.137 0.136 0.861
O7 0.142 0.877 0.148
O8 0.147 0.640 0.373
O9 0.352 0.356 0.879
O10 0.358 0.123 0.646
O11 0.361 0.861 0.362
O12 0.371 0.893 0.897
O13 0.380 0.646 0.142
O14 0.389 0.113 0.111
O15 0.394 0.397 0.371
O16 0.397 0.625 0.608
O17 0.605 0.125 0.891
O18 0.609 0.897 0.125
O19 0.614 0.612 0.389
O20 0.624 0.145 0.358
O21 0.625 0.391 0.603
O22 0.637 0.360 0.138
O23 0.641 0.624 0.852
O24 0.646 0.857 0.624
O25 0.852 0.141 0.126
O26 0.857 0.378 0.352
O27 0.861 0.636 0.637
O28 0.871 0.607 0.101
O29 0.879 0.851 0.856
O30 0.888 0.387 0.888
O31 0.892 0.103 0.625
O32 0.899 0.870 0.394

Record 4
# KBaMnO4, relaxed, DFT PBE with a Hubbard U
# Formation enthalpy at 0 K (meV/atom): -2229
data_KBaMnO4
_chemical_formula_sum 'K4 Ba4 Mn4 O16'
_space_group_name_H-M_alt 'P n m a'
_space_group_IT_number 62
_space_group_name_Hall '-P 2ac 2n'
_cell_length_a 7.912
_cell_length_b 5.914
_cell_length_c 10.444
_cell_angle_alpha 90.00
_cell_angle_beta 90.00
_cell_angle_gamma 90.00
loop_
_atom_site_label
_atom_site_fract_x
_atom_site_fract_y
_atom_site_fract_z
K1 0.160 0.250 0.081
Ba1 0.008 0.750 0.308
Mn1 0.232 0.250 0.418
O1 0.015 0.250 0.421
O2 0.196 0.750 0.074
O3 0.199 0.510 0.842

Record 5
# Li9Mn7O16, relaxed, DFT PBE with a Hubbard U
# Formation enthalpy at 0 K (meV/atom): -2137
# E above lowest polymorph (eV/atom): 0.007
data_Li9Mn7O16
_chemical_formula_sum 'Li9 Mn7 O16'
_space_group_name_H-M_alt 'P -1'
_space_group_IT_number 2
_space_group_name_Hall '-P 1'
_cell_length_a 5.095
_cell_length_b 5.829
_cell_length_c 10.513
_cell_angle_alpha 90.06
_cell_angle_beta 95.52
_cell_angle_gamma 107.24
loop_
_atom_site_label
_atom_site_fract_x
_atom_site_fract_y
_atom_site_fract_z
Li1 0.000 0.000 0.000
Li2 0.000 0.000 0.500
Li3 0.000 0.500 0.000
Li4 0.003 0.247 0.246
Li5 0.486 0.373 0.118
Li6 0.493 0.124 0.369
Mn1 0.000 0.500 0.500
Mn2 0.009 0.250 0.760
Mn3 0.493 0.625 0.371
Mn4 0.494 0.873 0.117
O1 0.240 0.581 0.180
O2 0.244 0.329 0.435
O3 0.250 0.037 0.189
O4 0.251 0.792 0.439
O5 0.256 0.538 0.690
O6 0.271 0.297 0.934
O7 0.278 0.080 0.706
O8 0.287 0.832 0.950

Record 6
# V2Co3O8, relaxed, DFT PBE with a Hubbard U
# Formation enthalpy at 0 K (meV/atom): -1875
data_V2Co3O8
_chemical_formula_sum 'V8 Co12 O32'
_space_group_name_H-M_alt 'C m c e'
_space_group_IT_number 64
_space_group_name_Hall '-C 2ac 2'
_cell_length_a 6.063
_cell_length_b 11.656
_cell_length_c 8.435
_cell_angle_alpha 90.00
_cell_angle_beta 90.00
_cell_angle_gamma 90.00
loop_
_atom_site_label
_atom_site_fract_x
_atom_site_fract_y
_atom_site_fract_z
V1 0.000 0.124 0.118
Co1 0.000 0.000 0.500
Co2 0.250 0.128 0.750
O1 0.000 0.003 0.255
O2 0.000 0.247 0.725
O3 0.231 0.117 0.997

Record 7
# Na4CuMo3O12, relaxed, DFT PBE with a Hubbard U
# Formation enthalpy at 0 K (meV/atom): -1987
data_Na4CuMo3O12
_chemical_formula_sum 'Na16 Cu4 Mo12 O48'
_space_group_name_H-M_alt 'P -1'
_space_group_IT_number 2
_space_group_name_Hall '-P 1'
_cell_length_a 9.579
_cell_length_b 10.441
_cell_length_c 13.290
_cell_angle_alpha 106.23
_cell_angle_beta 92.55
_cell_angle_gamma 107.09
loop_
_atom_site_label
_atom_site_fract_x
_atom_site_fract_y
_atom_site_fract_z
Na1 0.000 0.000 0.000
Na2 0.000 0.500 0.500
Na3 0.007 0.249 0.251
Na4 0.121 0.907 0.466
Na5 0.227 0.009 0.238
Na6 0.227 0.514 0.738
Na7 0.438 0.996 0.875
Na8 0.486 0.636 0.110
Na9 0.496 0.121 0.631
Cu1 0.140 0.424 0.962
Cu2 0.465 0.513 0.374
Mo1 0.165 0.139 0.757
Mo2 0.170 0.624 0.241
Mo3 0.189 0.750 0.985
Mo4 0.234 0.287 0.476
Mo5 0.382 0.279 0.117
Mo6 0.386 0.769 0.595
O1 0.002 0.268 0.994
O2 0.043 0.014 0.808
O3 0.046 0.275 0.482
O4 0.047 0.505 0.296
O5 0.111 0.089 0.618
O6 0.125 0.563 0.096
O7 0.159 0.796 0.294
O8 0.162 0.318 0.821
O9 0.203 0.182 0.138
O10 0.209 0.842 0.890
O11 0.215 0.671 0.626
O12 0.241 0.592 0.925
O13 0.242 0.114 0.420
O14 0.275 0.385 0.380
O15 0.309 0.860 0.104
O16 0.329 0.374 0.613
O17 0.353 0.138 0.780
O18 0.354 0.879 0.519
O19 0.360 0.636 0.273
O20 0.366 0.388 0.036
O21 0.466 0.156 0.048
O22 0.473 0.647 0.516
O23 0.497 0.114 0.288
O24 0.498 0.390 0.242

Record 8
# NiSbO3, relaxed, DFT PBE with a Hubbard U
# Formation enthalpy at 0 K (meV/atom): -957
data_NiSbO3
_chemical_formula_sum 'Ni1 Sb1 O3'
_space_group_name_H-M_alt 'P m -3 m'
_space_group_IT_number 221
_space_group_name_Hall '-P 4 2 3'
_cell_length_a 3.802
_cell_length_b 3.802
_cell_length_c 3.802
_cell_angle_alpha 90.00
_cell_angle_beta 90.00
_cell_angle_gamma 90.00
loop_
_atom_site_label
_atom_site_fract_x
_atom_site_fract_y
_atom_site_fract_z
Ni1 0.000 0.000 0.000
Sb1 0.500 0.500 0.500
O1 0.000 0.000 0.500

Record 9
# TiV4CoO12, relaxed, DFT PBE with a Hubbard U
# Formation enthalpy at 0 K (meV/atom): -2389
data_TiV4CoO12
_chemical_formula_sum 'Ti2 V8 Co2 O24'
_space_group_name_H-M_alt 'C 1 2 1'
_space_group_IT_number 5
_space_group_name_Hall 'C 2y'
_cell_length_a 10.115
_cell_length_b 9.171
_cell_length_c 5.749
_cell_angle_alpha 90.00
_cell_angle_beta 110.26
_cell_angle_gamma 90.00
loop_
_atom_site_label
_atom_site_fract_x
_atom_site_fract_y
_atom_site_fract_z
Ti1 0.000 0.000 0.000
V1 0.204 0.497 0.501
V2 0.209 0.311 0.999
Co1 0.000 0.819 0.500
O1 0.104 0.831 0.874
O2 0.111 0.981 0.371
O3 0.133 0.391 0.692
O4 0.137 0.128 0.981
O5 0.147 0.426 0.200
O6 0.148 0.671 0.490

Record 10
# PrMo6O12, relaxed, DFT PBE with a Hubbard U
# Formation enthalpy at 0 K (meV/atom): -2063
# E above lowest polymorph (eV/atom): 0.000
data_PrMo6O12
_chemical_formula_sum 'Pr4 Mo24 O48'
_space_group_name_H-M_alt 'I 4/m'
_space_group_IT_number 87
_space_group_name_Hall '-I 4'
_cell_length_a 10.269
_cell_length_b 10.269
_cell_length_c 9.910
_cell_angle_alpha 90.00
_cell_angle_beta 90.00
_cell_angle_gamma 90.00
loop_
_atom_site_label
_atom_site_fract_x
_atom_site_fract_y
_atom_site_fract_z
Pr1 0.000 0.000 0.245
Mo1 0.145 0.678 0.000
Mo2 0.147 0.669 0.333
O1 0.045 0.334 0.000
O2 0.053 0.339 0.340
O3 0.137 0.818 0.171
O4 0.154 0.803 0.500